Here is a relaxed structure of Te3Pt2 from the Materials Project database. Energies are from r2SCAN.

Results
**ΔE_f**: -0.44 eV/atom

abc: 4.018 4.017 17.915
angles: 96.49 90.00 120.00
Sites, in units of the cell vectors:
Te (0.858, 0.715, 0.578)
Te (0.963, 0.925, 0.890)
Te (0.244, 0.487, 0.733)
Te (0.037, 0.075, 0.110)
Te (0.756, 0.513, 0.267)
Te (0.142, 0.285, 0.422)
Pt (0.652, 0.305, 0.958)
Pt (0.550, 0.101, 0.654)
Pt (0.450, 0.899, 0.346)
Pt (0.348, 0.695, 0.042)